VASP calculation (PBE) on YB3H18N2 after structural relaxation.

Cell: 7.735 12.264 19.786 Å, 90.00 90.00 90.00°
Fractional coordinates of all 192 atoms:
H  0.973  0.575  0.201
H  0.680  0.928  0.395
H  0.385  0.405  0.618
H  0.639  0.439  0.467
H  0.016  0.811  0.782
H  0.885  0.405  0.882
H  0.473  0.925  0.799
H  0.129  0.628  0.511
H  0.300  0.706  0.572
H  0.447  0.845  0.643
H  0.836  0.205  0.527
H  0.748  0.603  0.693
H  0.516  0.811  0.718
H  0.636  0.059  0.111
H  0.736  0.317  0.281
H  0.700  0.294  0.428
H  0.371  0.128  0.511
H  0.800  0.794  0.428
H  0.348  0.184  0.345
H  0.639  0.061  0.967
H  0.152  0.684  0.345
H  0.951  0.398  0.261
H  0.300  0.794  0.072
H  0.438  0.792  0.857
H  0.115  0.905  0.618
H  0.264  0.683  0.719
H  0.938  0.708  0.143
H  0.764  0.683  0.781
H  0.348  0.316  0.845
H  0.800  0.706  0.928
H  0.736  0.183  0.781
H  0.236  0.317  0.219
H  0.516  0.689  0.218
H  0.186  0.155  0.924
H  0.200  0.206  0.572
H  0.484  0.189  0.282
H  0.361  0.939  0.033
H  0.553  0.155  0.357
H  0.814  0.655  0.576
H  0.484  0.311  0.782
H  0.027  0.075  0.299
H  0.553  0.345  0.857
H  0.320  0.072  0.605
H  0.314  0.655  0.924
H  0.451  0.102  0.739
H  0.361  0.561  0.533
H  0.049  0.898  0.239
H  0.336  0.205  0.973
H  0.814  0.845  0.076
H  0.871  0.128  0.989
H  0.053  0.155  0.143
H  0.947  0.655  0.357
H  0.336  0.295  0.473
H  0.680  0.572  0.895
H  0.364  0.941  0.889
H  0.139  0.439  0.033
H  0.761  0.984  0.278
H  0.447  0.655  0.143
H  0.752  0.103  0.693
H  0.686  0.155  0.576
H  0.664  0.795  0.027
H  0.180  0.572  0.605
H  0.016  0.689  0.282
H  0.861  0.561  0.967
H  0.848  0.316  0.655
H  0.236  0.183  0.719
H  0.686  0.345  0.076
H  0.615  0.595  0.382
H  0.527  0.425  0.701
H  0.152  0.816  0.845
H  0.984  0.311  0.718
H  0.248  0.603  0.807
H  0.164  0.795  0.473
H  0.836  0.295  0.027
H  0.252  0.103  0.807
H  0.739  0.016  0.778
H  0.871  0.372  0.489
H  0.864  0.941  0.611
H  0.292  0.075  0.976
H  0.139  0.061  0.533
H  0.186  0.345  0.424
H  0.820  0.428  0.395
H  0.261  0.516  0.722
H  0.527  0.075  0.201
H  0.739  0.484  0.278
H  0.549  0.898  0.261
H  0.239  0.484  0.222
H  0.248  0.897  0.307
H  0.951  0.102  0.761
H  0.261  0.984  0.222
H  0.848  0.184  0.155
H  0.136  0.059  0.389
H  0.264  0.817  0.219
H  0.562  0.208  0.143
H  0.885  0.095  0.382
H  0.792  0.075  0.524
H  0.764  0.817  0.281
H  0.438  0.708  0.357
H  0.864  0.559  0.111
H  0.136  0.441  0.889
H  0.027  0.425  0.799
H  0.792  0.425  0.024
H  0.385  0.095  0.118
H  0.820  0.072  0.895
H  0.752  0.397  0.193
H  0.562  0.292  0.643
H  0.636  0.441  0.611
H  0.208  0.575  0.976
H  0.292  0.425  0.476
H  0.364  0.559  0.389
H  0.053  0.345  0.643
H  0.320  0.428  0.105
H  0.984  0.189  0.218
H  0.938  0.792  0.643
H  0.049  0.602  0.739
H  0.652  0.684  0.155
H  0.748  0.897  0.193
H  0.062  0.208  0.357
H  0.629  0.872  0.489
H  0.761  0.516  0.778
H  0.115  0.595  0.118
H  0.451  0.398  0.239
H  0.129  0.872  0.011
H  0.652  0.816  0.655
H  0.947  0.845  0.857
H  0.180  0.928  0.105
H  0.200  0.294  0.072
H  0.062  0.292  0.857
H  0.208  0.925  0.476
H  0.239  0.016  0.722
H  0.164  0.705  0.973
H  0.473  0.575  0.299
H  0.700  0.206  0.928
H  0.861  0.939  0.467
H  0.708  0.575  0.524
H  0.615  0.905  0.882
H  0.314  0.845  0.424
H  0.252  0.397  0.307
H  0.629  0.628  0.989
H  0.973  0.925  0.701
H  0.371  0.372  0.011
H  0.708  0.925  0.024
H  0.664  0.705  0.527
H  0.549  0.602  0.761
B  0.028  0.112  0.357
B  0.706  0.601  0.753
B  0.528  0.388  0.643
B  0.472  0.612  0.357
B  0.972  0.612  0.143
B  0.739  0.883  0.446
B  0.794  0.101  0.753
B  0.972  0.888  0.643
B  0.239  0.883  0.054
B  0.261  0.383  0.054
B  0.239  0.617  0.554
B  0.761  0.383  0.446
B  0.739  0.617  0.946
B  0.761  0.117  0.946
B  0.472  0.888  0.857
B  0.028  0.388  0.857
B  0.206  0.899  0.247
B  0.794  0.399  0.253
B  0.528  0.112  0.143
B  0.294  0.399  0.247
B  0.706  0.899  0.253
B  0.261  0.117  0.554
B  0.206  0.601  0.747
B  0.294  0.101  0.747
N  0.971  0.207  0.168
N  0.307  0.139  0.943
N  0.693  0.861  0.057
N  0.471  0.293  0.832
N  0.193  0.861  0.443
N  0.529  0.793  0.668
N  0.029  0.793  0.832
N  0.471  0.207  0.332
N  0.029  0.707  0.332
N  0.193  0.639  0.943
N  0.693  0.639  0.557
N  0.529  0.707  0.168
N  0.807  0.139  0.557
N  0.807  0.361  0.057
N  0.307  0.361  0.443
N  0.971  0.293  0.668
Y  0.967  0.592  0.854
Y  0.533  0.408  0.354
Y  0.967  0.908  0.354
Y  0.467  0.908  0.146
Y  0.033  0.092  0.646
Y  0.533  0.092  0.854
Y  0.033  0.408  0.146
Y  0.467  0.592  0.646

Calculated values
calculated density: 1.2 g cm⁻³
E_form: -0.36 eV per atom
symmetry: Pbca